# 1
Material: Ba6Ge25
Method: DFT, PBE-GGA
State: relaxed

Computed properties:
ΔH_f (0 K) in eV per atom: -0.2848
Magnetic moment in μB per cell: 0.00
E in eV/cell: -543.68
Crystal system: cubic

a = 14.827 Å, b = 14.827 Å, c = 14.827 Å
α = 90.00°, β = 90.00°, γ = 90.00°
Fractional coordinates of all 124 atoms:
Ba (0.559, 0.559, 0.559)
Ba (0.810, 0.060, 0.125)
Ba (0.940, 0.625, 0.690)
Ba (0.059, 0.941, 0.441)
Ba (0.060, 0.125, 0.810)
Ba (0.625, 0.125, 0.375)
Ba (0.375, 0.190, 0.560)
Ba (0.190, 0.560, 0.375)
Ba (0.309, 0.809, 0.691)
Ba (0.875, 0.310, 0.440)
Ba (0.875, 0.875, 0.875)
Ba (0.310, 0.440, 0.875)
Ba (0.690, 0.940, 0.625)
Ba (0.440, 0.875, 0.310)
Ba (0.125, 0.375, 0.625)
Ba (0.191, 0.191, 0.191)
Ba (0.625, 0.690, 0.940)
Ba (0.125, 0.810, 0.060)
Ba (0.441, 0.059, 0.941)
Ba (0.560, 0.375, 0.190)
Ba (0.375, 0.625, 0.125)
Ba (0.691, 0.309, 0.809)
Ba (0.941, 0.441, 0.059)
Ba (0.809, 0.691, 0.309)
Ge (0.398, 0.166, 0.333)
Ge (0.675, 0.825, 0.175)
Ge (0.934, 0.874, 0.239)
Ge (0.325, 0.325, 0.325)
Ge (0.542, 0.500, 0.797)
Ge (0.047, 0.750, 0.292)
Ge (0.708, 0.547, 0.750)
Ge (0.292, 0.047, 0.750)
Ge (0.583, 0.084, 0.148)
Ge (0.581, 0.625, 0.331)
Ge (0.167, 0.602, 0.666)
Ge (0.250, 0.208, 0.953)
Ge (0.374, 0.261, 0.066)
Ge (0.184, 0.011, 0.624)
Ge (0.458, 0.000, 0.703)
Ge (0.169, 0.419, 0.125)
Ge (0.042, 0.000, 0.203)
Ge (0.124, 0.316, 0.989)
Ge (0.825, 0.175, 0.675)
Ge (0.011, 0.624, 0.184)
Ge (0.261, 0.066, 0.374)
Ge (0.375, 0.831, 0.919)
Ge (0.316, 0.989, 0.124)
Ge (0.000, 0.203, 0.042)
Ge (0.083, 0.416, 0.852)
Ge (0.703, 0.458, 0.000)
Ge (0.219, 0.781, 0.281)
Ge (0.958, 0.500, 0.297)
Ge (0.666, 0.167, 0.602)
Ge (0.281, 0.219, 0.781)
Ge (0.919, 0.375, 0.831)
Ge (0.376, 0.684, 0.489)
Ge (0.750, 0.292, 0.047)
Ge (0.417, 0.584, 0.352)
Ge (0.953, 0.250, 0.208)
Ge (0.453, 0.250, 0.792)
Ge (0.031, 0.031, 0.031)
Ge (0.333, 0.398, 0.166)
Ge (0.739, 0.566, 0.126)
Ge (0.126, 0.739, 0.566)
Ge (0.797, 0.542, 0.500)
Ge (0.416, 0.852, 0.083)
Ge (0.352, 0.417, 0.584)
Ge (0.625, 0.331, 0.581)
Ge (0.989, 0.124, 0.316)
Ge (0.816, 0.511, 0.876)
Ge (0.792, 0.453, 0.250)
Ge (0.566, 0.126, 0.739)
Ge (0.874, 0.239, 0.934)
Ge (0.667, 0.898, 0.334)
Ge (0.648, 0.917, 0.916)
Ge (0.102, 0.834, 0.833)
Ge (0.297, 0.958, 0.500)
Ge (0.575, 0.925, 0.075)
Ge (0.925, 0.075, 0.575)
Ge (0.969, 0.531, 0.469)
Ge (0.166, 0.333, 0.398)
Ge (0.175, 0.675, 0.825)
Ge (0.781, 0.281, 0.219)
Ge (0.547, 0.750, 0.708)
Ge (0.511, 0.876, 0.816)
Ge (0.761, 0.434, 0.626)
Ge (0.624, 0.184, 0.011)
Ge (0.626, 0.761, 0.434)
Ge (0.500, 0.797, 0.542)
Ge (0.084, 0.148, 0.583)
Ge (0.584, 0.352, 0.417)
Ge (0.898, 0.334, 0.667)
Ge (0.831, 0.919, 0.375)
Ge (0.075, 0.575, 0.925)
Ge (0.434, 0.626, 0.761)
Ge (0.066, 0.374, 0.261)
Ge (0.334, 0.667, 0.898)
Ge (0.875, 0.669, 0.081)
Ge (0.750, 0.708, 0.547)
Ge (0.469, 0.969, 0.531)
Ge (0.203, 0.042, 0.000)
Ge (0.208, 0.953, 0.250)
Ge (0.833, 0.102, 0.834)
Ge (0.876, 0.816, 0.511)
Ge (0.125, 0.169, 0.419)
Ge (0.239, 0.934, 0.874)
Ge (0.916, 0.648, 0.917)
Ge (0.500, 0.297, 0.958)
Ge (0.917, 0.916, 0.648)
Ge (0.250, 0.792, 0.453)
Ge (0.489, 0.376, 0.684)
Ge (0.148, 0.583, 0.084)
Ge (0.669, 0.081, 0.875)
Ge (0.834, 0.833, 0.102)
Ge (0.684, 0.489, 0.376)
Ge (0.852, 0.083, 0.416)
Ge (0.331, 0.581, 0.625)
Ge (0.081, 0.875, 0.669)
Ge (0.531, 0.469, 0.969)
Ge (0.719, 0.719, 0.719)
Ge (0.000, 0.703, 0.458)
Ge (0.602, 0.666, 0.167)
Ge (0.425, 0.425, 0.425)
Ge (0.419, 0.125, 0.169)

---

# 2
Material: Ba7Ge6
Method: DFT, PBE-GGA
State: relaxed

Computed properties:
ΔH_f (0 K) in eV per atom: -0.5599
Magnetic moment in μB per cell: 0.31
E in eV/cell: -193.80
Crystal system: orthorhombic

a = 8.201 Å, b = 9.095 Å, c = 24.946 Å
α = 90.00°, β = 90.00°, γ = 90.00°
Fractional coordinates of all 52 atoms:
Ba (0.464, 0.682, 0.338)
Ba (0.964, 0.818, 0.162)
Ba (0.536, 0.318, 0.838)
Ba (0.036, 0.182, 0.662)
Ba (0.536, 0.318, 0.662)
Ba (0.036, 0.182, 0.838)
Ba (0.464, 0.682, 0.162)
Ba (0.964, 0.818, 0.338)
Ba (0.377, 0.816, 0.860)
Ba (0.877, 0.684, 0.640)
Ba (0.623, 0.184, 0.360)
Ba (0.123, 0.316, 0.140)
Ba (0.623, 0.184, 0.140)
Ba (0.123, 0.316, 0.360)
Ba (0.377, 0.816, 0.640)
Ba (0.877, 0.684, 0.860)
Ba (0.155, 0.676, 0.481)
Ba (0.655, 0.824, 0.019)
Ba (0.845, 0.324, 0.981)
Ba (0.345, 0.176, 0.519)
Ba (0.845, 0.324, 0.519)
Ba (0.345, 0.176, 0.981)
Ba (0.155, 0.676, 0.019)
Ba (0.655, 0.824, 0.481)
Ba (0.210, 0.532, 0.750)
Ba (0.710, 0.968, 0.750)
Ba (0.790, 0.468, 0.250)
Ba (0.290, 0.032, 0.250)
Ge (0.494, 0.535, 0.949)
Ge (0.994, 0.965, 0.551)
Ge (0.506, 0.465, 0.449)
Ge (0.006, 0.035, 0.051)
Ge (0.506, 0.465, 0.051)
Ge (0.006, 0.035, 0.449)
Ge (0.494, 0.535, 0.551)
Ge (0.994, 0.965, 0.949)
Ge (0.289, 0.975, 0.405)
Ge (0.789, 0.525, 0.095)
Ge (0.711, 0.025, 0.905)
Ge (0.211, 0.475, 0.595)
Ge (0.711, 0.025, 0.595)
Ge (0.211, 0.475, 0.905)
Ge (0.289, 0.975, 0.095)
Ge (0.789, 0.525, 0.405)
Ge (0.330, 0.084, 0.750)
Ge (0.830, 0.416, 0.750)
Ge (0.670, 0.916, 0.250)
Ge (0.170, 0.584, 0.250)
Ge (0.111, 0.887, 0.750)
Ge (0.611, 0.613, 0.750)
Ge (0.889, 0.113, 0.250)
Ge (0.389, 0.387, 0.250)

---

# 3
Material: Ba8Ge43
Method: DFT, PBE-GGA
State: relaxed

Computed properties:
ΔH_f (0 K) in eV per atom: -0.2141
ΔE to the lowest computed polymorph in meV per atom: 3
Magnetic moment in μB per cell: 0.00
E in eV/cell: -225.06
Crystal system: trigonal

a = 10.855 Å, b = 10.855 Å, c = 10.855 Å
α = 90.10°, β = 89.90°, γ = 89.90°
Fractional coordinates of all 51 atoms:
Ba (0.502, 0.498, 0.498)
Ba (0.998, 0.002, 0.002)
Ba (0.994, 0.750, 0.494)
Ba (0.250, 0.494, 0.006)
Ba (0.506, 0.006, 0.750)
Ba (0.993, 0.250, 0.493)
Ba (0.750, 0.493, 0.007)
Ba (0.507, 0.007, 0.250)
Ge (0.193, 0.499, 0.613)
Ge (0.501, 0.613, 0.807)
Ge (0.387, 0.807, 0.499)
Ge (0.828, 0.500, 0.373)
Ge (0.500, 0.373, 0.172)
Ge (0.627, 0.172, 0.500)
Ge (0.805, 0.499, 0.613)
Ge (0.500, 0.373, 0.835)
Ge (0.165, 0.500, 0.373)
Ge (0.501, 0.613, 0.195)
Ge (0.627, 0.835, 0.500)
Ge (0.387, 0.195, 0.499)
Ge (0.000, 0.665, 0.127)
Ge (0.113, 0.001, 0.305)
Ge (0.307, 0.887, 0.001)
Ge (0.999, 0.305, 0.887)
Ge (0.873, 0.000, 0.665)
Ge (0.672, 0.127, 0.000)
Ge (0.000, 0.328, 0.127)
Ge (0.873, 0.000, 0.328)
Ge (0.999, 0.693, 0.887)
Ge (0.113, 0.001, 0.693)
Ge (0.335, 0.127, 0.000)
Ge (0.695, 0.887, 0.001)
Ge (0.316, 0.684, 0.684)
Ge (0.683, 0.317, 0.317)
Ge (0.678, 0.313, 0.686)
Ge (0.310, 0.680, 0.318)
Ge (0.687, 0.686, 0.322)
Ge (0.320, 0.318, 0.690)
Ge (0.314, 0.322, 0.313)
Ge (0.682, 0.690, 0.680)
Ge (0.180, 0.810, 0.182)
Ge (0.813, 0.178, 0.814)
Ge (0.817, 0.183, 0.183)
Ge (0.184, 0.816, 0.816)
Ge (0.190, 0.182, 0.820)
Ge (0.822, 0.814, 0.187)
Ge (0.818, 0.820, 0.810)
Ge (0.186, 0.187, 0.178)
Ge (0.500, 0.750, 0.000)
Ge (0.250, 0.000, 0.500)
Ge (0.000, 0.500, 0.750)

---

# 4
Material: BaGe
Method: DFT, PBE-GGA
State: relaxed

Computed properties:
ΔH_f (0 K) in eV per atom: -0.5962
E in eV/cell: -15.47
Crystal system: orthorhombic

a = 4.364 Å, b = 5.098 Å, c = 6.600 Å
α = 112.72°, β = 90.00°, γ = 90.00°
Fractional coordinates of all 4 atoms:
Ba (0.250, 0.863, 0.726)
Ba (0.750, 0.137, 0.274)
Ge (0.250, 0.564, 0.128)
Ge (0.750, 0.436, 0.872)

---

# 5
Material: BaGe2
Method: DFT, PBE-GGA
State: relaxed

Computed properties:
ΔH_f (0 K) in eV per atom: -0.5052
E in eV/cell: -25.36
Crystal system: tetragonal

a = 8.200 Å, b = 8.200 Å, c = 8.200 Å
α = 145.77°, β = 145.77°, γ = 49.19°
Fractional coordinates of all 6 atoms:
Ba (0.500, 0.500, 0.000)
Ba (0.250, 0.750, 0.500)
Ge (0.833, 0.333, 0.500)
Ge (0.083, 0.083, 0.000)
Ge (0.667, 0.167, 0.500)
Ge (0.917, 0.917, 0.000)